The following is a DFT calculation (GGA+U) of a relaxed structure of NaPrCuWO6.

Cell lengths 5.3693, 5.3693, 8.5719 Å; angles 90.00, 90.00, 90.00 degrees
Closest atoms and distances in Å follow each position.
Element x y z (fractional)
1 Na 0.0000 0.5000 0.2500  8 O 2.61-2.69
2 Na 0.5000 0.0000 0.7500  8 O 2.61-2.69
3 Pr 0.0000 0.5000 0.7500  8 O 2.52-2.69
4 Pr 0.5000 0.0000 0.2500  8 O 2.52-2.69
5 Cu 0.0000 0.0000 0.0000  4 O 1.98
6 Cu 0.5000 0.5000 0.5000  4 O 1.98
7 W 0.0000 0.0000 0.5000  6 O 1.94-1.96
8 W 0.5000 0.5000 0.0000  6 O 1.94-1.96
9 O 0.0000 0.0000 0.2713  1 W 1.96
10 O 0.0000 0.0000 0.7287  1 W 1.96
11 O 0.1839 0.3114 0.5064  1 W 1.94, 1 Cu 1.98
12 O 0.1886 0.3161 0.9936  1 W 1.94, 1 Cu 1.98
13 O 0.3114 0.8161 0.4936  1 W 1.94, 1 Cu 1.98
14 O 0.3161 0.8114 0.0064  1 W 1.94, 1 Cu 1.98
15 O 0.5000 0.5000 0.2287  1 W 1.96
16 O 0.5000 0.5000 0.7713  1 W 1.96
17 O 0.6839 0.1886 0.0064  1 W 1.94, 1 Cu 1.98
18 O 0.6886 0.1839 0.4936  1 W 1.94, 1 Cu 1.98
19 O 0.8114 0.6839 0.9936  1 W 1.94, 1 Cu 1.98
20 O 0.8161 0.6886 0.5064  1 W 1.94, 1 Cu 1.98

Values from the calculation:
ρ ... 6.82 Mg/m³
Total DFT energy (no corrections) ... -134.33 eV for the cell shown
Space-group type ... No. 118